Record 1
Below is crystalline NdSnAu at its relaxed geometry, with properties calculated at the PBE-GGA level.

```
6
Lattice="4.839 0.000 0.000 -2.419 4.190 0.000 0.000 0.000 7.884" Properties=species:S:1:pos:R:3 pbc="T T T"
Nd 0.000 0.000 1.712
Nd 0.000 0.000 6.172
Sn 0.000 2.794 4.424
Sn 2.419 1.397 3.460
Au 0.000 2.794 7.722
Au 2.419 1.397 0.162
```

Values from the calculation:
Its mass density is 9.55 g/cm³. For the raw total energy, the calculation gives -4.602 eV/atom. Its total magnetization is 0.00 μB/atom. For the volume, the calculation gives 26.64 A^3/atom.



Record 2
Below is crystalline Pr2Se3O16 at its relaxed geometry, with properties calculated at the PBE-GGA level.

```
84
Lattice="13.347 0.000 0.000 0.000 7.246 0.000 -13.290 0.000 14.926" Properties=species:S:1:pos:R:3 pbc="T T T"
Pr 1.018 1.794 0.407
Pr -5.627 1.829 7.870
Pr -7.456 5.235 12.718
Pr -0.811 5.634 5.254
Pr 0.868 1.612 9.672
Pr 7.513 2.011 2.209
Pr 5.684 5.417 7.057
Pr -0.961 5.452 14.520
Se -4.497 4.276 5.115
Se -11.142 6.593 12.578
Se 1.397 5.401 2.032
Se -5.248 5.468 9.495
Se -1.900 0.821 7.982
Se 4.745 2.802 0.519
Se -4.688 4.444 14.408
Se 1.957 6.425 6.945
Se 5.305 1.778 5.431
Se -1.340 1.845 12.895
Se 11.199 0.653 2.348
Se 4.554 2.970 9.812
O -4.921 0.653 5.711
O -11.566 2.970 13.174
O -7.802 1.753 9.134
O -1.157 1.870 1.671
O -3.065 4.970 4.661
O -9.710 5.899 12.124
O -10.902 0.515 13.745
O -4.257 3.108 6.282
O 0.671 4.169 1.060
O -5.974 6.700 8.523
O -6.020 4.144 8.730
O 0.625 6.725 1.266
O -1.365 0.040 3.662
O -8.010 3.583 11.125
O -5.893 1.626 10.387
O 0.752 1.997 2.923
O -8.768 3.667 14.048
O -2.123 7.202 6.585
O -7.828 0.430 13.142
O -1.183 3.193 5.679
O 0.785 5.157 3.554
O -5.860 5.712 11.018
O -3.366 1.324 8.573
O 3.279 2.299 1.110
O -3.628 5.416 9.419
O 3.017 5.453 1.955
O -1.745 4.067 7.343
O -8.390 6.801 14.807
O 5.824 1.458 0.313
O -0.821 2.165 7.776
O 1.009 0.002 5.844
O -5.636 3.621 13.307
O -0.952 7.244 9.082
O 5.693 3.625 1.619
O 0.878 5.081 7.150
O -5.767 5.788 14.614
O 8.447 0.444 0.120
O 1.802 3.178 7.583
O -2.960 1.793 12.971
O 3.685 1.830 5.508
O -3.222 4.947 13.817
O 3.423 5.922 6.354
O 5.917 1.534 3.909
O -0.728 2.089 11.372
O 1.240 4.053 9.248
O 7.885 6.816 1.784
O 2.180 0.044 8.342
O 8.825 3.579 0.878
O -0.695 5.249 12.003
O 5.951 5.620 4.540
O 8.067 3.662 3.802
O 1.422 7.206 11.265
O -0.568 0.521 13.660
O 6.077 3.102 6.197
O 6.031 0.546 6.404
O -0.614 3.077 13.867
O 4.314 4.138 8.645
O 10.959 6.731 1.181
O 9.767 1.347 2.802
O 3.122 2.276 10.265
O 1.214 5.376 13.255
O 7.859 5.493 5.792
O 11.623 4.276 1.753
O 4.978 6.592 9.216
```

Values from the calculation:
Its mass density is 3.56 g/cm³. For the raw total energy, the calculation gives -5.409 eV/atom. Its total magnetization is 0.01 μB/atom. For the volume, the calculation gives 17.19 A^3/atom.



Record 3
Below is crystalline ThGa at its relaxed geometry, with properties calculated at the PBE-GGA level.

```
16
Lattice="16.462 0.000 0.000 0.000 4.134 0.000 0.000 0.000 6.072" Properties=species:S:1:pos:R:3 pbc="T T T"
Th 0.600 1.034 1.518
Th 3.520 3.101 0.078
Th 4.711 1.034 3.114
Th 7.631 3.101 4.554
Th 8.831 1.034 1.518
Th 11.751 3.101 2.958
Th 12.943 1.034 5.993
Th 15.863 3.101 4.554
Ga 1.752 1.034 4.600
Ga 2.360 3.101 3.063
Ga 5.871 1.034 0.027
Ga 6.479 3.101 1.564
Ga 9.984 1.034 4.508
Ga 10.592 3.101 6.044
Ga 14.102 1.034 3.008
Ga 14.710 3.101 1.472
```

Values from the calculation:
Its mass density is 9.70 g/cm³. For the raw total energy, the calculation gives -5.749 eV/atom. For the volume, the calculation gives 25.83 A^3/atom.



Record 4
Below is crystalline LiTiH6O2F6 at its relaxed geometry, with properties calculated at the PBE-GGA level.

```
16
Lattice="4.718 -2.784 0.000 4.718 2.784 0.000 -0.268 0.000 6.183" Properties=species:S:1:pos:R:3 pbc="T T T"
Li 0.000 0.000 0.000
Ti 4.718 0.111 0.000
H 2.577 0.687 4.393
H 1.680 -0.805 4.509
H 6.591 0.687 1.790
H 3.527 -2.122 1.978
H 7.488 -0.805 1.674
H 5.641 -2.122 4.205
O 1.769 0.120 4.057
O 7.399 0.120 2.125
F 3.707 1.482 4.891
F 3.055 0.651 0.926
F 5.461 1.482 1.292
F 6.114 0.651 5.257
F 4.415 -1.386 4.862
F 4.753 -1.386 1.321
```

Values from the calculation:
Its mass density is 2.11 g/cm³. For the raw total energy, the calculation gives -5.124 eV/atom. Its total magnetization is 0.06 μB/atom. For the volume, the calculation gives 10.15 A^3/atom.



Record 5
Below is crystalline Li4La3Nb12O36 at its relaxed geometry, with properties calculated at the PBE-GGA level.

```
55
Lattice="8.959 -3.985 0.000 8.959 3.985 0.000 -3.644 0.000 10.707" Properties=species:S:1:pos:R:3 pbc="T T T"
Li 0.000 0.000 0.000
Li -0.054 0.000 8.915
Li 7.137 0.000 5.353
Li 14.328 0.000 1.791
La -1.822 0.000 5.353
La 5.360 0.000 1.796
La 8.914 0.000 8.911
Nb 4.396 1.994 4.489
Nb 2.672 1.983 9.782
Nb 6.188 1.984 8.035
Nb 8.086 1.984 2.671
Nb 11.602 1.983 0.925
Nb 9.878 1.994 6.217
Nb 4.396 -1.994 4.489
Nb 2.672 -1.983 9.782
Nb 6.188 -1.984 8.035
Nb 8.086 -1.984 2.671
Nb 11.602 -1.983 0.925
Nb 9.878 -1.994 6.217
O 4.480 1.993 0.000
O 2.658 1.993 5.353
O -2.606 0.000 7.943
O 3.740 1.946 2.594
O 0.667 0.000 6.292
O 4.462 2.069 8.988
O 7.019 1.976 0.961
O 6.256 1.997 3.560
O 5.508 2.036 6.157
O 2.837 0.000 0.838
O 8.766 2.036 4.550
O 9.813 2.069 1.718
O 2.490 0.000 9.936
O 8.018 1.997 7.147
O 4.612 0.000 4.330
O 7.255 1.976 9.746
O 7.869 0.000 2.713
O 10.534 1.946 8.113
O 4.480 -1.993 0.000
O 2.658 -1.993 5.353
O 3.740 -1.946 2.594
O 6.406 0.000 7.994
O 7.019 -1.976 0.961
O 9.662 0.000 6.377
O 6.256 -1.997 3.560
O 11.784 0.000 0.771
O 4.462 -2.069 8.988
O 5.508 -2.036 6.157
O 11.438 0.000 9.869
O 8.766 -2.036 4.550
O 8.018 -1.997 7.147
O 7.255 -1.976 9.746
O 9.813 -2.069 1.718
O 13.608 0.000 4.415
O 10.534 -1.946 8.113
O 16.880 0.000 2.764
```

Values from the calculation:
Its mass density is 4.64 g/cm³. For the raw total energy, the calculation gives -8.477 eV/atom. Its total magnetization is 0.00 μB/atom. For the volume, the calculation gives 13.90 A^3/atom.



Record 6
Below is crystalline Li8TbO6 at its relaxed geometry, with properties calculated at the PBE-GGA level.

```
15
Lattice="2.822 1.629 5.400 -2.822 1.629 5.400 0.000 -3.258 5.400" Properties=species:S:1:pos:R:3 pbc="T T T"
Li -2.030 -0.101 6.111
Li 0.000 0.000 2.374
Li -0.927 -1.808 10.090
Li 1.102 -1.707 6.111
Li -1.102 1.707 10.090
Li 0.927 1.808 6.111
Li 0.000 0.000 13.827
Li 2.030 0.101 10.090
Tb 0.000 0.000 8.100
O -0.838 -1.605 6.713
O -1.809 -0.077 9.488
O -0.972 1.528 6.713
O 0.972 -1.528 9.488
O 1.809 0.077 6.713
O 0.838 1.605 9.488
```

Values from the calculation:
Its mass density is 3.46 g/cm³. For the raw total energy, the calculation gives -5.310 eV/atom. Its total magnetization is 0.07 μB/atom. For the volume, the calculation gives 9.93 A^3/atom.



Record 7
Below is crystalline Mg14NiW at its relaxed geometry, with properties calculated at the PBE-GGA level.

```
16
Lattice="9.831 0.000 0.000 0.000 3.086 5.401 0.000 -3.086 5.401" Properties=species:S:1:pos:R:3 pbc="T T T"
Mg 0.000 0.000 0.000
Mg 0.000 -1.534 2.726
Mg 0.000 0.000 5.392
Mg 0.000 1.534 2.726
Mg 2.501 0.000 7.150
Mg 2.584 0.000 1.730
Mg 2.654 -1.545 4.566
Mg 2.654 1.545 4.566
Mg 4.915 -1.515 8.118
Mg 4.915 1.515 8.118
Mg 7.177 -1.545 4.566
Mg 7.177 1.545 4.566
Mg 7.247 0.000 1.730
Mg 7.330 0.000 7.150
Ni 4.915 0.000 0.028
W 4.915 0.000 5.498
```

Values from the calculation:
Its mass density is 2.95 g/cm³. For the raw total energy, the calculation gives -2.409 eV/atom. Its total magnetization is 0.00 μB/atom. For the volume, the calculation gives 20.48 A^3/atom.



Record 8
Below is crystalline RbMg14SbO16 at its relaxed geometry, with properties calculated at the PBE-GGA level.

```
32
Lattice="4.524 0.000 0.000 0.000 8.759 0.000 0.000 0.000 8.892" Properties=species:S:1:pos:R:3 pbc="T T T"
Rb 0.000 0.000 0.000
Mg 0.000 2.283 2.167
Mg 0.000 2.283 6.725
Mg 0.000 4.379 0.000
Mg 0.000 4.379 4.446
Mg 0.000 6.475 2.167
Mg 0.000 6.475 6.725
Mg 2.262 0.000 2.122
Mg 2.262 0.000 6.769
Mg 2.262 2.241 0.000
Mg 2.262 2.288 4.446
Mg 2.262 4.379 2.201
Mg 2.262 4.379 6.691
Mg 2.262 6.471 4.446
Mg 2.262 6.517 0.000
Sb 0.000 0.000 4.446
O 0.000 0.000 2.357
O 0.000 0.000 6.534
O 0.000 2.331 4.446
O 0.000 2.465 0.000
O 0.000 4.379 2.275
O 0.000 4.379 6.616
O 0.000 6.294 0.000
O 0.000 6.428 4.446
O 2.262 0.000 0.000
O 2.262 0.000 4.446
O 2.262 2.189 2.234
O 2.262 2.189 6.658
O 2.262 4.379 0.000
O 2.262 4.379 4.446
O 2.262 6.570 2.234
O 2.262 6.570 6.658
```

Values from the calculation:
Its mass density is 3.79 g/cm³. For the raw total energy, the calculation gives -5.613 eV/atom. Its total magnetization is 0.00 μB/atom. For the volume, the calculation gives 11.01 A^3/atom.



Record 9
Below is crystalline CaTiPO5 at its relaxed geometry, with properties calculated at the PBE-GGA level.

```
16
Lattice="3.368 -4.445 0.000 3.368 4.445 0.000 -2.744 0.000 6.520" Properties=species:S:1:pos:R:3 pbc="T T T"
Ca 1.310 2.899 4.890
Ca 2.682 -2.899 1.630
Ti 3.368 0.000 0.000
Ti 1.996 0.000 3.260
P 2.682 2.917 1.630
P 1.310 -2.917 4.890
O -1.376 0.643 5.927
O 1.641 2.021 2.414
O -0.004 -0.643 2.667
O 3.723 2.021 0.846
O 1.310 0.709 4.890
O 2.682 -0.709 1.630
O 0.270 -2.021 5.674
O 3.996 0.643 3.853
O 2.351 -2.021 4.106
O 5.368 -0.643 0.593
```

Values from the calculation:
Its mass density is 3.38 g/cm³. For the raw total energy, the calculation gives -7.765 eV/atom. Its total magnetization is 0.13 μB/atom. For the volume, the calculation gives 12.20 A^3/atom.



Record 10
Below is crystalline RbAg7S4 at its relaxed geometry, with properties calculated at the PBE-GGA level.

```
48
Lattice="11.214 0.000 0.000 0.000 11.214 0.000 0.000 0.000 8.525" Properties=species:S:1:pos:R:3 pbc="T T T"
Rb 2.804 2.804 1.060
Rb 2.804 2.804 5.317
Rb 8.411 8.411 3.208
Rb 8.411 8.411 7.466
Ag 0.000 0.000 0.000
Ag 0.000 5.607 0.000
Ag 0.252 10.784 5.638
Ag 0.431 5.859 2.887
Ag 1.209 8.863 3.271
Ag 1.266 8.623 7.476
Ag 2.351 6.816 5.254
Ag 2.591 6.873 1.049
Ag 3.016 9.948 1.049
Ag 3.256 10.005 5.254
Ag 4.341 8.198 7.476
Ag 4.398 7.958 3.271
Ag 5.176 10.963 2.887
Ag 5.356 6.038 5.638
Ag 5.607 0.000 0.000
Ag 5.607 5.607 0.000
Ag 5.859 5.176 2.887
Ag 6.038 0.252 5.638
Ag 6.816 3.256 5.254
Ag 6.873 3.016 1.049
Ag 7.958 1.209 3.271
Ag 8.198 1.266 7.476
Ag 8.623 4.341 7.476
Ag 8.863 4.398 3.271
Ag 9.948 2.591 1.049
Ag 10.005 2.351 5.254
Ag 10.784 5.356 5.638
Ag 10.963 0.431 2.887
S 0.021 7.799 5.323
S 0.079 7.761 1.132
S 2.154 11.135 7.393
S 2.192 11.194 3.202
S 3.415 5.628 3.202
S 3.454 5.686 7.393
S 5.528 9.061 1.132
S 5.587 9.023 5.323
S 5.628 2.192 3.202
S 5.686 2.154 7.393
S 7.761 5.528 1.132
S 7.799 5.587 5.323
S 9.023 0.021 5.323
S 9.061 0.079 1.132
S 11.135 3.454 7.393
S 11.194 3.415 3.202
```

Values from the calculation:
Its mass density is 6.00 g/cm³. For the raw total energy, the calculation gives -3.328 eV/atom. Its total magnetization is 0.00 μB/atom. For the volume, the calculation gives 22.34 A^3/atom.



Record 11
Below is crystalline Tl2CuO4 at its relaxed geometry, with properties calculated at the PBE-GGA level.

```
14
Lattice="3.934 0.000 0.000 0.000 3.934 0.000 0.000 0.000 11.868" Properties=species:S:1:pos:R:3 pbc="T T T"
Tl 0.000 0.000 1.788
Tl 0.000 0.000 10.080
Tl 1.967 1.967 4.146
Tl 1.967 1.967 7.721
Cu 0.000 0.000 5.934
Cu 1.967 1.967 0.000
O 0.000 1.967 0.000
O 0.000 1.967 2.967
O 0.000 1.967 5.934
O 0.000 1.967 8.901
O 1.967 0.000 0.000
O 1.967 0.000 2.967
O 1.967 0.000 5.934
O 1.967 0.000 8.901
```

Values from the calculation:
Its mass density is 9.70 g/cm³. For the raw total energy, the calculation gives -4.559 eV/atom. Its total magnetization is 0.00 μB/atom. For the volume, the calculation gives 13.12 A^3/atom.



Record 12
Below is crystalline TiSiRh at its relaxed geometry, with properties calculated at the PBE-GGA level.

```
12
Lattice="6.276 0.000 0.000 0.000 3.833 0.000 0.000 0.000 7.280" Properties=species:S:1:pos:R:3 pbc="T T T"
Ti 0.154 0.958 1.328
Ti 2.984 2.874 4.968
Ti 3.292 0.958 2.311
Ti 6.122 2.874 5.951
Si 1.453 2.874 2.754
Si 1.685 0.958 6.394
Si 4.591 2.874 0.886
Si 4.823 0.958 4.526
Rh 0.961 0.958 4.103
Rh 2.177 2.874 0.463
Rh 4.099 0.958 6.816
Rh 5.315 2.874 3.176
```

Values from the calculation:
Its mass density is 6.78 g/cm³. For the raw total energy, the calculation gives -7.865 eV/atom. For the volume, the calculation gives 14.59 A^3/atom.



Among the records above, which one has the lowest volume?
Li8TbO6